## Ba2U2O7 (meta-GGA r2SCAN)

Data for an optimized crystal structure of Ba2U2O7.

Structure (POSCAR):
```
Ba2U2O7
1.0
-4.0945 5.6728 4.1231
4.0945 -5.6728 4.1231
4.0945 5.6728 -4.1231
Ba U O
4 4 14
Cartesian
0.0000 0.0000 0.0000 Ba
-2.0472 2.8364 2.0616 Ba
0.0000 5.6728 0.0000 Ba
2.0472 2.8364 2.0616 Ba
2.0472 2.8364 -2.0616 U
2.0472 -2.8364 2.0616 U
4.0945 0.0000 0.0000 U
0.0000 0.0000 4.1231 U
2.4268 1.3513 -0.5641 O
5.7621 1.3513 -0.5641 O
4.0945 -2.8364 2.7967 O
4.0945 1.0573 1.7649 O
2.4268 4.3215 -0.5641 O
1.6677 -1.3513 3.5590 O
0.0000 1.0573 2.3582 O
4.0945 4.6155 1.7649 O
2.4268 7.0240 0.5641 O
1.6677 1.3513 4.6872 O
0.0000 4.6155 2.3582 O
0.0000 8.5092 1.3264 O
-1.6677 4.3215 4.6872 O
1.6677 4.3215 4.6872 O
```

Properties
volume: 383 Å³ per cell
VASP energy: -587.765 eV per cell
total moment: 0.0 μB per cell
space group: Imma, No. 74

=====

## Ba2YbUO6 (meta-GGA r2SCAN)

Data for an optimized crystal structure of Ba2YbUO6.

Structure (POSCAR):
```
Ba2YbUO6
1.0
0.0000 4.3335 4.3335
4.3335 0.0000 4.3335
4.3335 4.3335 0.0000
Ba Yb U O
2 1 1 6
Cartesian
2.1668 2.1668 2.1668 Ba
6.5003 6.5003 6.5003 Ba
0.0000 0.0000 0.0000 Yb
4.3335 4.3335 4.3335 U
4.3335 4.3335 2.1899 O
4.3335 2.1899 4.3335 O
6.4771 4.3335 4.3335 O
2.1899 4.3335 4.3335 O
4.3335 6.4771 4.3335 O
4.3335 4.3335 6.4771 O
```

Properties
volume: 163 Å³ per cell
VASP energy: -241.490 eV per cell
total moment: 1.0 μB per cell
space group: Fm-3m, No. 225

=====

## BaV4O9 (meta-GGA r2SCAN)

Data for an optimized crystal structure of BaV4O9.

Structure (POSCAR):
```
BaV4O9
1.0
7.8674 0.0000 0.0000
0.0000 4.9065 0.0000
-3.5228 0.0000 8.7241
Ba V O
2 8 18
Cartesian
-0.8807 0.7623 2.1810 Ba
-2.6421 4.1442 6.5431 Ba
0.0955 1.2441 5.6815 V
1.8568 3.6624 1.3195 V
3.3475 1.2486 0.4422 V
1.5861 3.6579 4.8042 V
2.7585 1.2486 3.9199 V
0.9971 3.6579 8.2819 V
2.4878 1.2441 7.4046 V
4.2492 3.6624 3.0426 V
-1.4353 1.8200 5.7139 O
0.3261 3.0865 1.3519 O
1.6742 0.3540 0.5426 O
-0.0871 4.5525 4.9046 O
0.8939 1.9979 4.0949 O
-0.8675 2.9086 8.4570 O
0.2340 0.4028 7.4211 O
1.9954 4.5037 3.0591 O
3.0530 2.2668 2.1810 O
1.2916 2.6397 6.5431 O
2.3492 0.4028 5.6650 O
4.1106 4.5037 1.3030 O
5.2121 1.9979 0.2671 O
3.4507 2.9086 4.6292 O
4.4318 0.3540 3.8195 O
2.6704 4.5525 8.1815 O
4.0185 1.8200 7.3722 O
5.7799 3.0865 3.0102 O
```

Properties
volume: 337 Å³ per cell
VASP energy: -350.539 eV per cell
total moment: 8.0 μB per cell
space group: P2/c, No. 13

=====

## Ba3V4O13 (meta-GGA r2SCAN)

Data for an optimized crystal structure of Ba3V4O13.

Structure (POSCAR):
```
Ba3V4O13
1.0
8.0375 -4.4613 0.0000
8.0375 4.4613 0.0000
-3.8970 0.0000 9.4929
Ba V O
6 8 26
Cartesian
0.5759 1.5106 6.5645 Ba
5.1147 3.5270 7.1197 Ba
2.5244 -1.5106 1.8181 Ba
9.6536 1.5106 7.6748 Ba
7.0632 -3.5270 2.3732 Ba
11.6021 -1.5106 2.9284 Ba
6.5749 2.7492 0.0013 V
7.5516 2.7492 4.7452 V
3.7721 0.1784 6.0170 V
5.7206 -0.1784 1.2705 V
6.4574 0.1784 8.2223 V
8.4059 -0.1784 3.4759 V
4.6264 -2.7492 4.7477 V
5.6031 -2.7492 9.4916 V
1.6698 1.2132 1.6058 O
-1.4003 0.8359 8.4755 O
5.9411 3.0301 4.3235 O
3.2326 1.6062 5.3522 O
8.1854 3.0301 0.4230 O
0.5482 -0.8359 3.7291 O
6.1909 0.9726 0.0206 O
-0.2787 -1.2132 6.3522 O
4.4692 0.4610 2.1507 O
2.5207 -0.4610 6.8972 O
5.1147 0.6374 7.1197 O
6.9969 1.6062 8.8871 O
4.2424 -0.9726 4.7670 O
7.9356 0.9726 4.7258 O
5.1811 -1.6062 0.6058 O
7.0632 -0.6374 2.3732 O
9.6573 0.4610 2.5957 O
7.7088 -0.4610 7.3421 O
12.4567 1.2132 3.1407 O
5.9871 -0.9726 9.4723 O
11.6298 0.8359 5.7638 O
3.9926 -3.0301 9.0699 O
8.9454 -1.6062 4.1406 O
6.2369 -3.0301 5.1694 O
13.5783 -0.8359 1.0173 O
10.5082 -1.2132 7.8871 O
```

Properties
volume: 681 Å³ per cell
VASP energy: -542.996 eV per cell
total moment: 0.0 μB per cell
space group: C2/c, No. 15

=====

## BaV3O8 (meta-GGA r2SCAN)

Data for an optimized crystal structure of BaV3O8.

Structure (POSCAR):
```
BaV3O8
1.0
7.4434 0.0000 0.0000
0.0000 5.5430 0.0000
-2.4273 0.0000 7.8800
Ba V O
2 6 16
Cartesian
0.6229 1.3857 3.1772 Ba
4.3932 4.1572 4.7029 Ba
-1.5646 1.3857 6.8087 V
0.4440 4.1572 5.6673 V
2.6549 4.1572 1.4275 V
2.3612 1.3857 6.4526 V
4.5721 1.3857 2.2128 V
6.5806 4.1572 1.0713 V
-0.8798 2.7899 6.0930 O
-0.8798 5.5245 6.0930 O
1.1012 1.3857 0.5514 O
0.0398 4.1572 4.0552 O
0.8943 4.1572 1.4703 O
0.8247 4.1572 7.7677 O
1.8393 0.0119 5.5187 O
1.8393 2.7596 5.5187 O
3.1768 2.7834 2.3614 O
3.1768 5.5311 2.3614 O
4.1914 1.3857 0.1123 O
4.1218 1.3857 6.4097 O
4.9762 1.3857 3.8248 O
3.9149 4.1572 7.3287 O
5.8959 0.0184 1.7871 O
5.8959 2.7530 1.7871 O
```

Properties
volume: 325 Å³ per cell
VASP energy: -299.330 eV per cell
total moment: 2.0 μB per cell
space group: P2_1/m, No. 11

=====

## BaV10O15 (meta-GGA r2SCAN)

Data for an optimized crystal structure of BaV10O15.

Structure (POSCAR):
```
BaV10O15
1.0
5.7282 -5.0613 0.0000
5.7282 5.0613 0.0000
0.0000 0.0000 9.5385
Ba V O
2 20 30
Cartesian
0.0000 0.0000 0.0000 Ba
5.7282 0.0000 4.7693 Ba
1.4485 0.8814 6.1019 V
2.8147 1.7069 1.1044 V
2.9135 1.7069 3.6648 V
5.7282 3.2086 6.0851 V
1.4485 -0.8814 3.4366 V
4.2797 0.8814 8.2058 V
5.7282 1.8527 1.3158 V
2.8147 -1.7069 8.4341 V
2.9135 -1.7069 5.8737 V
4.2797 -0.8814 1.3327 V
7.1767 0.8814 8.2058 V
8.5429 1.7069 3.6648 V
8.6417 1.7069 1.1044 V
5.7282 -1.8527 8.2227 V
7.1767 -0.8814 1.3327 V
10.0079 0.8814 6.1019 V
5.7282 -3.2086 3.4534 V
8.5429 -1.7069 5.8737 V
8.6417 -1.7069 8.4341 V
10.0079 -0.8814 3.4366 V
0.0000 0.0000 4.7693 O
1.4896 0.8963 2.4302 O
2.8641 1.7490 7.1539 O
4.3215 2.5885 4.7631 O
4.3215 2.4728 9.5324 O
5.7282 3.4256 2.3503 O
1.4896 -0.8963 7.1084 O
2.7741 0.0000 4.7693 O
2.9541 0.0000 0.0000 O
4.2386 0.8963 2.3391 O
5.7282 1.6357 7.1196 O
7.1349 2.5885 4.7631 O
7.1349 2.4728 9.5324 O
2.8641 -1.7490 2.3846 O
4.2386 -0.8963 7.1994 O
5.7282 0.0000 0.0000 O
7.2179 0.8963 2.3391 O
8.5923 1.7490 7.1539 O
4.3215 -2.4728 0.0061 O
4.3215 -2.5885 4.7754 O
5.7282 -1.6357 2.4189 O
7.2179 -0.8963 7.1994 O
8.5024 0.0000 0.0000 O
8.6823 0.0000 4.7693 O
9.9668 0.8963 2.4302 O
5.7282 -3.4256 7.1882 O
7.1349 -2.4728 0.0061 O
7.1349 -2.5885 4.7754 O
8.5923 -1.7490 2.3846 O
9.9668 -0.8963 7.1084 O
```

Properties
volume: 553 Å³ per cell
VASP energy: -653.055 eV per cell
total moment: 9.4 μB per cell
space group: Cmce, No. 64

=====

## Ba2V2O7 (meta-GGA r2SCAN)

Data for an optimized crystal structure of Ba2V2O7.

Structure (POSCAR):
```
Ba2V2O7
1.0
7.3634 0.0000 0.0000
0.0468 7.3645 0.0000
0.5857 2.2013 13.4472
Ba V O
8 8 28
Cartesian
0.7423 2.7810 2.1240 Ba
1.9258 6.2243 4.6313 Ba
2.9408 3.9795 11.5370 Ba
3.0734 7.8120 8.6309 Ba
4.9224 1.7538 4.8163 Ba
5.0550 5.5863 1.9102 Ba
6.0700 3.3415 8.8159 Ba
7.2536 6.7848 11.3232 Ba
1.2514 6.1449 1.1246 V
1.5117 2.3597 5.5660 V
2.0615 4.2764 8.1139 V
3.7534 7.8804 12.0259 V
4.2424 1.6855 1.4213 V
5.9343 5.2895 5.3333 V
6.4841 7.2062 7.8812 V
6.7444 3.4210 12.3226 V
0.6026 4.4872 12.8401 O
0.2645 1.6401 4.6797 O
0.5415 7.3456 2.0617 O
0.9787 3.2594 7.0598 O
1.1201 4.8063 9.4283 O
2.2765 5.2283 2.1246 O
2.3859 3.3480 4.5193 O
2.8121 8.9556 13.1499 O
2.7223 6.7570 11.2468 O
2.5771 1.1119 6.0261 O
2.6560 5.5807 7.2412 O
3.3130 3.3368 8.7861 O
2.9682 2.4482 0.6357 O
3.6356 0.6733 2.6356 O
4.3602 8.8925 10.8116 O
5.0276 7.1177 12.8115 O
4.6828 6.2291 4.6611 O
5.3398 3.9852 6.2060 O
5.4187 8.4539 7.4212 O
5.2735 2.8088 2.2004 O
5.1838 0.6102 0.2973 O
5.6099 6.2178 8.9279 O
5.7193 4.3376 11.3226 O
6.8757 4.7596 4.0190 O
7.0171 6.3065 6.3874 O
7.4543 2.2202 11.3855 O
7.7313 7.9257 8.7675 O
7.3932 5.0786 0.6071 O
```

Properties
volume: 729 Å³ per cell
VASP energy: -623.632 eV per cell
total moment: 0.0 μB per cell
space group: P-1, No. 2

=====

## Ba2VO4 (meta-GGA r2SCAN)

Data for an optimized crystal structure of Ba2VO4.

Structure (POSCAR):
```
Ba2VO4
1.0
6.1656 0.0000 0.0000
0.0000 7.7387 0.0000
-5.4654 0.0000 10.2998
Ba V O
8 4 16
Cartesian
-1.4959 0.0382 3.1294 Ba
-4.2286 3.8311 8.2793 Ba
-1.1989 5.0723 5.9353 Ba
1.5338 6.5358 0.7854 Ba
-0.8336 1.2029 9.5143 Ba
1.8991 2.6664 4.3645 Ba
4.9288 3.9076 2.0205 Ba
2.1961 7.7005 7.1704 Ba
-1.0803 1.7008 5.9935 V
1.6524 2.1685 0.8436 V
-0.9522 5.5702 9.4562 V
1.7805 6.0379 4.3063 V
0.1408 1.3788 1.3989 O
-2.5919 2.4906 6.5488 O
-3.5397 1.3272 9.5555 O
-0.8070 2.5422 4.4056 O
1.3383 3.9177 0.8496 O
-1.3944 7.6904 5.9995 O
0.2639 5.7403 3.4012 O
-2.4688 5.8678 8.5510 O
3.1690 1.8709 1.7487 O
0.4364 1.9985 6.8986 O
2.0947 0.0483 4.3003 O
-0.6380 3.8210 9.4501 O
1.5072 5.1965 5.8942 O
4.2399 6.4115 0.7443 O
3.2921 5.2481 3.7510 O
0.5594 6.3599 8.9009 O
```

Properties
volume: 491 Å³ per cell
VASP energy: -446.114 eV per cell
total moment: 4.0 μB per cell
space group: P2_1/c, No. 14

=====

> Which value of volume does entry 4 give?

681 Å³ per cell

=====

Please write out number 3 again, unchanged.
## BaV4O9 (meta-GGA r2SCAN)

Data for an optimized crystal structure of BaV4O9.

Structure (POSCAR):
```
BaV4O9
1.0
7.8674 0.0000 0.0000
0.0000 4.9065 0.0000
-3.5228 0.0000 8.7241
Ba V O
2 8 18
Cartesian
-0.8807 0.7623 2.1810 Ba
-2.6421 4.1442 6.5431 Ba
0.0955 1.2441 5.6815 V
1.8568 3.6624 1.3195 V
3.3475 1.2486 0.4422 V
1.5861 3.6579 4.8042 V
2.7585 1.2486 3.9199 V
0.9971 3.6579 8.2819 V
2.4878 1.2441 7.4046 V
4.2492 3.6624 3.0426 V
-1.4353 1.8200 5.7139 O
0.3261 3.0865 1.3519 O
1.6742 0.3540 0.5426 O
-0.0871 4.5525 4.9046 O
0.8939 1.9979 4.0949 O
-0.8675 2.9086 8.4570 O
0.2340 0.4028 7.4211 O
1.9954 4.5037 3.0591 O
3.0530 2.2668 2.1810 O
1.2916 2.6397 6.5431 O
2.3492 0.4028 5.6650 O
4.1106 4.5037 1.3030 O
5.2121 1.9979 0.2671 O
3.4507 2.9086 4.6292 O
4.4318 0.3540 3.8195 O
2.6704 4.5525 8.1815 O
4.0185 1.8200 7.3722 O
5.7799 3.0865 3.0102 O
```

Properties
volume: 337 Å³ per cell
VASP energy: -350.539 eV per cell
total moment: 8.0 μB per cell
space group: P2/c, No. 13

=====

> The highest volume belongs to which entry?

Ba2V2O7

=====

> Number 1 is which compound?

Ba2U2O7